Below is a relaxed structure of PbI2, with properties calculated at the PBE-GGA level.

abc: 4.669 4.669 75.082
angles: 90.00 90.00 120.00
Sites, in units of the cell vectors:
Pb  0.000  0.000  0.827
Pb  0.333  0.667  0.327
Pb  0.333  0.667  0.527
Pb  0.333  0.667  0.127
Pb  0.000  0.000  0.927
Pb  0.333  0.667  0.427
Pb  0.333  0.667  0.727
Pb  0.333  0.667  0.227
Pb  0.333  0.667  0.027
Pb  0.333  0.667  0.627
I  0.000  0.000  0.102
I  0.333  0.667  0.902
I  0.000  0.000  0.602
I  0.667  0.333  0.852
I  0.000  0.000  0.302
I  0.000  0.000  0.202
I  0.000  0.000  0.402
I  0.667  0.333  0.151
I  0.667  0.333  0.352
I  0.333  0.667  0.802
I  0.000  0.000  0.002
I  0.667  0.333  0.552
I  0.667  0.333  0.052
I  0.667  0.333  0.651
I  0.667  0.333  0.752
I  0.667  0.333  0.951
I  0.667  0.333  0.252
I  0.000  0.000  0.502
I  0.000  0.000  0.702
I  0.667  0.333  0.452

Calculated values
- crystal system = trigonal
- symmetry = P3m1, No. 156
- formation energy (eV/atom) = -0.920
- mass density (g/cm³) = 5.40
- total moment (μB per formula unit) = 0.002